No. 1
VASP calculation (GGA-PBE) on Te6MoI3 after structural relaxation.

Cell: 16.7828 12.0729 17.4671 Å, 64.96 90.00 90.00°
Last column: nearest neighbours and their distance in Å.
Element x y z (fractional)
Te 0.9958 0.6881 0.7458  2 Mo 2.75-2.76, 1 Te 2.82
I 0.7110 0.2870 0.0456  2 Te 3.24-3.46
Mo 0.8434 0.3601 0.2506  8 Te 2.75-2.88, 1 Mo 3.01
Te 0.1156 0.3838 0.8256  2 Te 2.80-2.85, 1 Mo 2.88
I 0.2041 0.1322 0.2847  3 Te 3.30-3.63
I 0.3233 0.3261 0.5261  2 Te 3.14-3.43
I 0.5471 0.7979 0.0449  2 Te 3.24-3.26
I 0.0621 0.8219 0.0369  1 Te 3.03
I 0.0539 0.6248 0.2919  5 Te 3.51-3.93
I 0.2890 0.7130 0.9544  2 Te 3.24-3.46
Te 0.8661 0.4871 0.3527  2 Te 2.79-2.85, 1 Mo 2.83
Te 0.7338 0.5397 0.1466  2 Te 2.80-2.87, 1 Mo 2.84, 1 I 3.14
Te 0.8844 0.6162 0.1744  2 Te 2.80-2.85, 1 Mo 2.88
Te 0.1583 0.8618 0.6100  2 Mo 2.75, 1 Te 2.82
Mo 0.4091 0.8709 0.2508  8 Te 2.74-2.88, 1 Mo 3.01
Te 0.5172 0.0544 0.1471  2 Te 2.81-2.85, 1 Mo 2.84
Mo 0.0909 0.8709 0.7508  8 Te 2.74-2.88, 1 Mo 3.01
I 0.2959 0.1322 0.7847  3 Te 3.30-3.63
I 0.9529 0.7979 0.5449  2 Te 3.24-3.26
I 0.0471 0.2021 0.4551  2 Te 3.24-3.26
Te 0.3417 0.8618 0.1100  2 Mo 2.75, 1 Te 2.82
Te 0.7108 0.4280 0.3261  2 Te 2.79-2.87, 1 Mo 2.88
Te 0.2484 0.8227 0.2538  2 Mo 2.75, 1 Te 2.82
Te 0.2338 0.4603 0.3534  2 Te 2.80-2.87, 1 Mo 2.84, 1 I 3.14
I 0.8233 0.6739 0.9739  2 Te 3.14-3.43
I 0.6767 0.6739 0.4739  2 Te 3.14-3.43
Mo 0.3434 0.6399 0.2494  8 Te 2.75-2.88, 1 Mo 3.01
I 0.4461 0.6248 0.7919  5 Te 3.51-3.93
Te 0.2516 0.8227 0.7538  2 Mo 2.75, 1 Te 2.82
Te 0.4578 0.0616 0.6748  2 Te 2.80-2.85, 1 Mo 2.87
Te 0.8656 0.8740 0.3215  2 Te 2.81-2.89, 1 Mo 2.88
Te 0.7484 0.1773 0.2462  2 Mo 2.75, 1 Te 2.82
I 0.9461 0.3752 0.7081  5 Te 3.51-3.93
Te 0.7516 0.1773 0.7462  2 Mo 2.75, 1 Te 2.82
Te 0.1129 0.9903 0.8589  2 Te 2.80-2.89, 1 Mo 2.84, 1 I 3.03
Te 0.1339 0.5129 0.6473  2 Te 2.79-2.85, 1 Mo 2.83
Te 0.8871 0.0097 0.1411  2 Te 2.80-2.89, 1 Mo 2.84, 1 I 3.03
Te 0.0422 0.0616 0.1748  2 Te 2.80-2.85, 1 Mo 2.87
Te 0.9111 0.3500 0.1104  2 Mo 2.74-2.75, 1 Te 2.82
Te 0.6344 0.8740 0.8215  2 Te 2.81-2.89, 1 Mo 2.88
Te 0.4828 0.9456 0.8529  2 Te 2.81-2.85, 1 Mo 2.84
Te 0.6156 0.6162 0.6744  2 Te 2.80-2.85, 1 Mo 2.88
I 0.7959 0.8678 0.7153  3 Te 3.30-3.63
Te 0.5042 0.6881 0.2458  2 Mo 2.75-2.76, 1 Te 2.82
Te 0.4111 0.6500 0.3896  2 Mo 2.74-2.75, 1 Te 2.82
I 0.5539 0.3752 0.2081  5 Te 3.51-3.93
Te 0.6339 0.4871 0.8527  2 Te 2.79-2.85, 1 Mo 2.83
Te 0.2892 0.5720 0.6739  2 Te 2.79-2.87, 1 Mo 2.88
I 0.7890 0.2870 0.5456  2 Te 3.24-3.46
Te 0.0042 0.3119 0.2542  2 Mo 2.75-2.76, 1 Te 2.82
Te 0.7662 0.5397 0.6466  2 Te 2.80-2.87, 1 Mo 2.84, 1 I 3.14
I 0.1767 0.3261 0.0261  2 Te 3.14-3.43
Te 0.9828 0.0544 0.6471  2 Te 2.81-2.85, 1 Mo 2.84
Mo 0.5909 0.1291 0.7492  8 Te 2.74-2.88, 1 Mo 3.01
Mo 0.1566 0.6399 0.7494  8 Te 2.75-2.88, 1 Mo 3.01
Te 0.7892 0.4280 0.8261  2 Te 2.79-2.87, 1 Mo 2.88
Te 0.5889 0.3500 0.6104  2 Mo 2.74-2.75, 1 Te 2.82
Te 0.2662 0.4603 0.8534  2 Te 2.80-2.87, 1 Mo 2.84, 1 I 3.14
Te 0.3661 0.5129 0.1473  2 Te 2.79-2.85, 1 Mo 2.83
Te 0.2108 0.5720 0.1739  2 Te 2.79-2.87, 1 Mo 2.88
I 0.5621 0.1781 0.4631  1 Te 3.03
Te 0.0172 0.9456 0.3529  2 Te 2.81-2.85, 1 Mo 2.84
I 0.2110 0.7130 0.4544  2 Te 3.24-3.46
Te 0.3656 0.1260 0.1785  2 Te 2.81-2.89, 1 Mo 2.88
Te 0.3844 0.3838 0.3256  2 Te 2.80-2.85, 1 Mo 2.88
I 0.9379 0.1781 0.9631  1 Te 3.03
Te 0.0889 0.6500 0.8896  2 Mo 2.74-2.75, 1 Te 2.82
I 0.4379 0.8219 0.5369  1 Te 3.03
I 0.4529 0.2021 0.9551  2 Te 3.24-3.26
Te 0.9578 0.9384 0.8252  2 Te 2.80-2.85, 1 Mo 2.87
Mo 0.9091 0.1291 0.2492  8 Te 2.74-2.88, 1 Mo 3.01
Te 0.4958 0.3119 0.7542  2 Mo 2.75-2.76, 1 Te 2.82
Te 0.1344 0.1260 0.6785  2 Te 2.81-2.89, 1 Mo 2.88
Te 0.6129 0.0097 0.6411  2 Te 2.80-2.89, 1 Mo 2.84, 1 I 3.03
Mo 0.6566 0.3601 0.7506  8 Te 2.75-2.88, 1 Mo 3.01
I 0.7041 0.8678 0.2153  3 Te 3.30-3.63
Te 0.3871 0.9903 0.3589  2 Te 2.80-2.89, 1 Mo 2.84, 1 I 3.03
Te 0.6583 0.1382 0.8900  2 Mo 2.75, 1 Te 2.82
Te 0.8417 0.1382 0.3900  2 Mo 2.75, 1 Te 2.82
Te 0.5422 0.9384 0.3252  2 Te 2.80-2.85, 1 Mo 2.87

Output
V: 400.8 Å³/f.u.
ΔE_f: -2.84 eV/f.u.
symmetry: No. 14

=====

No. 2
VASP calculation (GGA-PBE) on Te10Mo3I10 after structural relaxation.

Cell: 11.1909 11.2303 18.1455 Å, 84.01 75.95 67.22°
Last column: nearest neighbours and their distance in Å.
Element x y z (fractional)
I 0.1998 0.1016 0.5233  1 Te 2.80
Te 0.0742 0.1567 0.0746  1 Mo 2.81, 3 I 2.82-3.04
I 0.1629 0.8449 0.8207  1 Te 2.87
I 0.7710 0.3567 0.4450  1 Te 2.86
I 0.1819 0.8929 0.3457  1 Te 2.88
I 0.5462 0.4486 0.8850  3 Te 3.27-3.34
Te 0.2795 0.5067 0.2805  1 Te 2.75, 2 Mo 2.76-2.78
I 0.8002 0.8984 0.4767  1 Te 2.80
Te 0.3339 0.0347 0.3725  3 I 2.80-3.02, 1 Mo 2.81
Te 0.6095 0.9604 0.8204  1 Te 2.74, 2 Mo 2.80-2.87
I 0.4538 0.5514 0.1150  3 Te 3.27-3.34
Te 0.5393 0.7499 0.8589  1 Te 2.74, 2 Mo 2.76-2.78
Te 0.9258 0.8433 0.9254  1 Mo 2.81, 3 I 2.82-3.04
Te 0.8185 0.5635 0.3535  1 Mo 2.80, 3 I 2.81-3.04
Te 0.1815 0.4365 0.6465  1 Mo 2.80, 3 I 2.81-3.04
Te 0.8779 0.5762 0.6017  1 Te 2.75, 2 Mo 2.80-2.87
Mo 0.7957 0.7268 0.8601  6 Te 2.69-2.88, 2 Mo 2.86, 1 I 2.92
I 0.7853 0.1128 0.9267  1 Te 2.82
I 0.5157 0.1824 0.3486  1 Mo 2.92, 1 Te 3.02
Te 0.9427 0.7638 0.7252  3 Mo 2.69
Mo 0.2043 0.2732 0.1399  6 Te 2.69-2.88, 2 Mo 2.86, 1 I 2.92
I 0.4843 0.8176 0.6514  1 Mo 2.92, 1 Te 3.02
Te 0.7205 0.4933 0.7195  1 Te 2.75, 2 Mo 2.76-2.78
I 0.3047 0.2215 0.9776  1 Mo 2.92, 1 Te 3.04
Mo 0.2870 0.2564 0.2792  6 Te 2.69-2.87, 2 Mo 2.85-2.86, 1 I 2.92
Mo 0.7130 0.7436 0.7208  6 Te 2.69-2.87, 2 Mo 2.85-2.86, 1 I 2.92
I 0.8181 0.1071 0.6543  1 Te 2.88
Te 0.9512 0.4695 0.1286  1 Te 2.76, 2 Mo 2.80-2.88
Te 0.0488 0.5305 0.8714  1 Te 2.76, 2 Mo 2.80-2.88
Te 0.6661 0.9653 0.6275  3 I 2.80-3.02, 1 Mo 2.81
I 0.3888 0.3795 0.7226  1 Te 2.81
I 0.0679 0.2457 0.7363  1 Mo 2.92, 1 Te 3.04
Te 0.1221 0.4238 0.3983  1 Te 2.75, 2 Mo 2.80-2.87
I 0.8371 0.1551 0.1793  1 Te 2.87
I 0.6112 0.6205 0.2774  1 Te 2.81
Te 0.8227 0.4747 0.8980  1 Te 2.76, 2 Mo 2.76-2.78
Mo 0.9356 0.5262 0.7503  6 Te 2.69-2.87, 2 Mo 2.85-2.86, 1 I 2.92
I 0.2147 0.8872 0.0733  1 Te 2.82
Te 0.0573 0.2362 0.2748  3 Mo 2.69
Te 0.3905 0.0396 0.1796  1 Te 2.74, 2 Mo 2.80-2.87
I 0.9321 0.7543 0.2637  1 Mo 2.92, 1 Te 3.04
Mo 0.0644 0.4738 0.2497  6 Te 2.69-2.87, 2 Mo 2.85-2.86, 1 I 2.92
I 0.2290 0.6433 0.5550  1 Te 2.86
I 0.6953 0.7785 0.0224  1 Mo 2.92, 1 Te 3.04
Te 0.1773 0.5253 0.1020  1 Te 2.76, 2 Mo 2.76-2.78
Te 0.4607 0.2501 0.1411  1 Te 2.74, 2 Mo 2.76-2.78

Output
V: 1019.8 Å³/f.u.
ΔE_f: -9.30 eV/f.u.
symmetry: No. 2

=====

No. 3
VASP calculation (GGA-PBE) on NaNd4I7N2 after structural relaxation.

Cell: 11.2090 12.1178 14.4838 Å, 90.00 90.00 90.00°
Last column: nearest neighbours and their distance in Å.
Element x y z (fractional)
Nd 0.8769 0.0839 0.5817  2 N 2.33-2.34
I 0.1902 0.7914 0.9775  2 Nd 3.13-3.38, 1 Na 3.22
Na 0.5488 0.7541 0.5971  5 I 3.07-3.38
Nd 0.9170 0.3253 0.4000  2 N 2.32
I 0.8129 0.7949 0.7047  1 Na 3.38, 3 Nd 3.41-3.74, 1 N 3.76
Nd 0.6017 0.5624 0.0867  2 N 2.31
N 0.0157 0.4478 0.4970  4 Nd 2.31-2.34
N 0.4952 0.1971 0.9972  4 Nd 2.31-2.34
I 0.0643 0.0380 0.7455  2 Nd 3.22-3.34, 1 Na 3.48
I 0.3098 0.7914 0.4775  2 Nd 3.13-3.38, 1 Na 3.22
N 0.5157 0.9478 0.0030  4 Nd 2.31-2.34
N 0.9952 0.6971 0.5028  4 Nd 2.31-2.34
Na 0.9512 0.7541 0.0971  5 I 3.07-3.38
I 0.1529 0.4606 0.0142  1 Na 3.20, 2 Nd 3.22-3.23
Nd 0.3983 0.0624 0.9133  2 N 2.31
N 0.0048 0.1971 0.4972  4 Nd 2.31-2.34
Nd 0.4170 0.8253 0.1000  2 N 2.32
Nd 0.3769 0.5839 0.9183  2 N 2.33-2.34
I 0.3471 0.4606 0.5142  1 Na 3.20, 2 Nd 3.22-3.23
N 0.4843 0.4478 0.9970  4 Nd 2.31-2.34
Nd 0.5830 0.3253 0.9000  2 N 2.32
Nd 0.1017 0.0624 0.4133  2 N 2.31
I 0.1315 0.5988 0.7239  2 Nd 3.31-3.32
Nd 0.3780 0.3184 0.0841  2 N 2.34
I 0.9078 0.3372 0.7303  1 Na 3.12, 2 Nd 3.21-3.43
Nd 0.6220 0.8184 0.9159  2 N 2.34
I 0.6871 0.7949 0.2047  1 Na 3.38, 3 Nd 3.41-3.74, 1 N 3.76
Nd 0.1220 0.3184 0.5841  2 N 2.34
I 0.6902 0.2914 0.5225  2 Nd 3.13-3.38, 1 Na 3.22
I 0.3129 0.2949 0.7953  1 Na 3.38, 3 Nd 3.41-3.74, 1 N 3.76
I 0.4078 0.8372 0.7697  1 Na 3.12, 2 Nd 3.21-3.43
I 0.0922 0.8372 0.2697  1 Na 3.12, 2 Nd 3.21-3.43
N 0.5048 0.6971 0.0028  4 Nd 2.31-2.34
Nd 0.8780 0.8184 0.4159  2 N 2.34
Na 0.0488 0.2541 0.9029  5 I 3.07-3.38
I 0.8164 0.6155 0.9531  1 Na 3.07, 2 Nd 3.16-3.33
I 0.3685 0.5988 0.2239  2 Nd 3.31-3.32
I 0.9357 0.5380 0.2545  2 Nd 3.22-3.34, 1 Na 3.48
I 0.8098 0.2914 0.0225  2 Nd 3.13-3.38, 1 Na 3.22
Nd 0.6231 0.0839 0.0817  2 N 2.33-2.34
Nd 0.1231 0.5839 0.4183  2 N 2.33-2.34
I 0.5643 0.5380 0.7545  2 Nd 3.22-3.34, 1 Na 3.48
I 0.6529 0.9606 0.4858  1 Na 3.20, 2 Nd 3.22-3.23
I 0.8471 0.9606 0.9858  1 Na 3.20, 2 Nd 3.22-3.23
I 0.6836 0.6155 0.4531  1 Na 3.07, 2 Nd 3.16-3.33
Nd 0.0830 0.8253 0.6000  2 N 2.32
I 0.1836 0.1155 0.0469  1 Na 3.07, 2 Nd 3.16-3.33
I 0.1871 0.2949 0.2953  1 Na 3.38, 3 Nd 3.41-3.74, 1 N 3.76
I 0.8685 0.0988 0.2761  2 Nd 3.31-3.32
I 0.4357 0.0380 0.2455  2 Nd 3.22-3.34, 1 Na 3.48
Na 0.4512 0.2541 0.4029  5 I 3.07-3.38
I 0.6315 0.0988 0.7761  2 Nd 3.31-3.32
N 0.9843 0.9478 0.5030  4 Nd 2.31-2.34
I 0.3164 0.1155 0.5469  1 Na 3.07, 2 Nd 3.16-3.33
I 0.5922 0.3372 0.2303  1 Na 3.12, 2 Nd 3.21-3.43
Nd 0.8983 0.5624 0.5867  2 N 2.31

Output
V: 491.8 Å³/f.u.
ΔE_f: -21.38 eV/f.u.
symmetry: No. 33